# GGA+U Li3V2O4F4, relaxed
data_Li3V2O4F4
_cell_length_a 4.988
_cell_length_b 7.346
_cell_length_c 7.757
_cell_angle_alpha 101.71
_cell_angle_beta 90.11
_cell_angle_gamma 90.12
_space_group_name_H-M_alt 'P 1'
_space_group_IT_number 1
_space_group_name_Hall 'P 1'
loop_
_atom_site_label
_atom_site_type_symbol
_atom_site_fract_x
_atom_site_fract_y
_atom_site_fract_z
Li1 Li 0.000 0.000 0.000
Li2 Li 0.009 0.536 0.026
Li3 Li 0.477 0.892 0.538
Li4 Li 0.497 0.219 0.263
Li5 Li 0.510 0.682 0.233
Li6 Li 0.981 0.329 0.716
V1 V 0.010 0.538 0.472
V2 V 0.477 0.192 0.803
V3 V 0.504 0.687 0.795
V4 V 0.969 0.032 0.466
O1 O 0.118 0.312 0.454
O2 O 0.177 0.061 0.659
O3 O 0.291 0.663 0.581
O4 O 0.346 0.411 0.816
O5 O 0.613 0.912 0.803
O6 O 0.689 0.151 0.582
O7 O 0.802 0.552 0.660
O8 O 0.846 0.810 0.440
F1 F 0.175 0.562 0.243
F2 F 0.185 0.755 0.941
F3 F 0.308 0.951 0.330
F4 F 0.327 0.158 0.027
F5 F 0.678 0.658 0.015
F6 F 0.697 0.466 0.312
F7 F 0.818 0.271 0.923
F8 F 0.833 0.062 0.236
# Total moment = 0.999 μB per formula unit
# Energy of formation from the pure elements = -35.574 eV/f.u.
# Total energy = -6.0710 eV/atom
# MP2020-corrected energy = -6.69 eV per atom
# Excess energy over the best structure of this formula in the dataset = 0.00 eV per formula unit